Record 1
The following is a PBE calculation of BaMgAgO2 after structural relaxation, from the Materials Project.

Computed properties:
V: 118.1 Å³/cell
space-group type: P4/mmm, No. 123
ΔE_f: -1.043 eV per atom
polymorph energy (0 for the lowest one): 0.424 eV per atom

a = 6.427 Å, b = 4.286 Å, c = 4.286 Å
α = 90.00°, β = 90.00°, γ = 90.00°
Fractional positions:
1 Ba 0.500 0.500 0.500
2 Mg 0.000 0.500 0.500
3 Ag 0.000 0.000 0.000
4 O 0.000 0.000 0.500
5 O 0.000 0.500 0.000

Record 2
The following is a PBE calculation of SrMg6NbO8 after structural relaxation, from the Materials Project.

Computed properties:
V: 180.0 Å³/cell
space-group type: P4/mmm, No. 123
ΔE_f: -2.641 eV per atom
polymorph energy (0 for the lowest one): 0.000 eV per atom

a = 8.922 Å, b = 4.491 Å, c = 4.491 Å
α = 90.00°, β = 90.00°, γ = 90.00°
Fractional positions:
1 Sr 0.000 0.000 0.000
2 Mg 0.500 0.000 0.000
3 Mg 0.500 0.500 0.500
4 Mg 0.266 0.000 0.500
5 Mg 0.734 0.000 0.500
6 Mg 0.266 0.500 0.000
7 Mg 0.734 0.500 0.000
8 Nb 0.000 0.500 0.500
9 O 0.274 0.000 0.000
10 O 0.726 0.000 0.000
11 O 0.262 0.500 0.500
12 O 0.738 0.500 0.500
13 O 0.000 0.000 0.500
14 O 0.500 0.000 0.500
15 O 0.000 0.500 0.000
16 O 0.500 0.500 0.000

Record 3
The following is a PBE calculation of CaZn2P2O2 after structural relaxation, from the Materials Project.

Computed properties:
V: 122.5 Å³/cell
space-group type: P-3m1, No. 164
ΔE_f: -0.951 eV per atom

a = 4.501 Å, b = 4.501 Å, c = 6.983 Å
α = 90.00°, β = 90.00°, γ = 120.00°
Fractional positions:
1 Ca 0.000 0.000 0.000
2 Zn 0.333 0.667 0.254
3 Zn 0.667 0.333 0.746
4 P 0.333 0.667 0.752
5 P 0.667 0.333 0.248
6 O 0.333 0.667 0.530
7 O 0.667 0.333 0.470

Record 4
The following is a PBE calculation of Nd6Mg23C after structural relaxation, from the Materials Project.

Computed properties:
V: 740.8 Å³/cell
space-group type: Fm-3m, No. 225
ΔE_f: -0.096 eV per atom

a = 10.156 Å, b = 10.156 Å, c = 10.156 Å
α = 60.00°, β = 60.00°, γ = 60.00°
Fractional positions:
1 Nd 0.816 0.816 0.184
2 Nd 0.184 0.816 0.184
3 Nd 0.816 0.184 0.184
4 Nd 0.184 0.184 0.816
5 Nd 0.816 0.184 0.816
6 Nd 0.184 0.816 0.816
7 Mg 0.829 0.829 0.514
8 Mg 0.829 0.514 0.829
9 Mg 0.514 0.829 0.829
10 Mg 0.829 0.829 0.829
11 Mg 0.171 0.171 0.486
12 Mg 0.171 0.486 0.171
13 Mg 0.486 0.171 0.171
14 Mg 0.171 0.171 0.171
15 Mg 0.620 0.620 0.139
16 Mg 0.620 0.139 0.620
17 Mg 0.139 0.620 0.620
18 Mg 0.620 0.620 0.620
19 Mg 0.380 0.380 0.861
20 Mg 0.380 0.861 0.380
21 Mg 0.861 0.380 0.380
22 Mg 0.380 0.380 0.380
23 Mg 0.000 0.000 0.500
24 Mg 0.500 0.000 0.500
25 Mg 0.000 0.500 0.500
26 Mg 0.500 0.500 0.000
27 Mg 0.000 0.500 0.000
28 Mg 0.500 0.000 0.000
29 Mg 0.500 0.500 0.500
30 C 0.000 0.000 0.000